(1)
A relaxed Na3Cr2As3O12 crystal. Source: Materials Project, functional PBE with a Hubbard U.

Values from the calculation:
Mass density, g/cm3: 4.167
Total DFT energy (no corrections), eV/cell: -501.222

abc: 10.688 10.688 10.688
angles: 109.47 109.47 109.47
Sites, in units of the cell vectors:
O (0.312, 0.896, 0.010)
O (0.812, 0.510, 0.396)
O (0.614, 0.416, 0.104)
O (0.614, 0.698, 0.510)
O (0.896, 0.386, 0.584)
O (0.188, 0.490, 0.604)
O (0.198, 0.584, 0.188)
O (0.916, 0.302, 0.312)
O (0.386, 0.584, 0.896)
O (0.010, 0.312, 0.896)
O (0.416, 0.104, 0.614)
O (0.386, 0.302, 0.490)
O (0.990, 0.802, 0.886)
O (0.114, 0.604, 0.916)
O (0.688, 0.084, 0.698)
O (0.302, 0.490, 0.386)
O (0.510, 0.614, 0.698)
O (0.604, 0.188, 0.490)
O (0.490, 0.604, 0.188)
O (0.396, 0.084, 0.886)
O (0.010, 0.198, 0.114)
O (0.698, 0.688, 0.084)
O (0.490, 0.386, 0.302)
O (0.812, 0.802, 0.416)
O (0.688, 0.104, 0.990)
O (0.916, 0.114, 0.604)
O (0.886, 0.990, 0.802)
O (0.416, 0.812, 0.802)
O (0.396, 0.812, 0.510)
O (0.084, 0.698, 0.688)
O (0.886, 0.396, 0.084)
O (0.188, 0.198, 0.584)
O (0.302, 0.312, 0.916)
O (0.990, 0.688, 0.104)
O (0.510, 0.396, 0.812)
O (0.698, 0.510, 0.614)
O (0.802, 0.416, 0.812)
O (0.104, 0.990, 0.688)
O (0.604, 0.916, 0.114)
O (0.114, 0.010, 0.198)
O (0.896, 0.010, 0.312)
O (0.584, 0.896, 0.386)
O (0.084, 0.886, 0.396)
O (0.198, 0.114, 0.010)
O (0.802, 0.886, 0.990)
O (0.104, 0.614, 0.416)
O (0.584, 0.188, 0.198)
O (0.312, 0.916, 0.302)
As (0.875, 0.250, 0.125)
As (0.125, 0.750, 0.875)
As (0.250, 0.125, 0.875)
As (0.625, 0.375, 0.250)
As (0.375, 0.250, 0.625)
As (0.750, 0.375, 0.625)
As (0.625, 0.750, 0.375)
As (0.750, 0.875, 0.125)
As (0.875, 0.125, 0.750)
As (0.125, 0.875, 0.250)
As (0.375, 0.625, 0.750)
As (0.250, 0.625, 0.375)
Na (0.125, 0.250, 0.375)
Na (0.750, 0.125, 0.375)
Na (0.750, 0.625, 0.875)
Na (0.625, 0.875, 0.750)
Na (0.625, 0.250, 0.875)
Na (0.250, 0.375, 0.125)
Na (0.875, 0.625, 0.250)
Na (0.250, 0.875, 0.625)
Na (0.375, 0.125, 0.250)
Na (0.875, 0.750, 0.625)
Na (0.375, 0.750, 0.125)
Na (0.125, 0.375, 0.750)
Cr (0.500, 0.500, 0.500)
Cr (0.500, 0.000, 0.000)
Cr (0.000, 0.000, 0.000)
Cr (0.000, 0.500, 0.000)
Cr (0.000, 0.500, 0.500)
Cr (0.000, 0.000, 0.500)
Cr (0.500, 0.000, 0.500)
Cr (0.500, 0.500, 0.000)

***

(2)
A relaxed Co3O2F4 crystal. Source: Materials Project, functional PBE with a Hubbard U.

Values from the calculation:
Mass density, g/cm3: 4.562
Total DFT energy (no corrections), eV/cell: -94.238

abc: 4.700 5.657 7.807
angles: 87.18 90.00 90.00
Sites, in units of the cell vectors:
Co (0.958, 0.653, 0.324)
Co (0.000, 0.000, 0.000)
Co (0.458, 0.847, 0.676)
Co (0.500, 0.500, 0.000)
Co (0.042, 0.347, 0.676)
Co (0.542, 0.153, 0.324)
O (0.201, 0.036, 0.767)
O (0.299, 0.536, 0.767)
O (0.799, 0.964, 0.233)
O (0.701, 0.464, 0.233)
F (0.703, 0.136, 0.568)
F (0.696, 0.800, 0.893)
F (0.203, 0.364, 0.432)
F (0.196, 0.700, 0.107)
F (0.297, 0.864, 0.432)
F (0.797, 0.636, 0.568)
F (0.804, 0.300, 0.893)
F (0.304, 0.200, 0.107)

***

(3)
A relaxed LiCr3O8 crystal. Source: Materials Project, functional PBE with a Hubbard U.

Values from the calculation:
Mass density, g/cm3: 2.900
Total DFT energy (no corrections), eV/cell: -325.313

abc: 5.583 8.137 14.668
angles: 90.00 90.00 90.00
Sites, in units of the cell vectors:
O (0.008, 0.861, 0.857)
O (0.508, 0.139, 0.143)
O (0.492, 0.861, 0.857)
O (0.750, 0.126, 0.813)
O (0.250, 0.527, 0.513)
O (0.492, 0.639, 0.357)
O (0.250, 0.874, 0.187)
O (0.994, 0.820, 0.525)
O (0.750, 0.374, 0.313)
O (0.506, 0.680, 0.025)
O (0.750, 0.473, 0.487)
O (0.494, 0.180, 0.475)
O (0.992, 0.361, 0.643)
O (0.994, 0.680, 0.025)
O (0.992, 0.139, 0.143)
O (0.750, 0.734, 0.677)
O (0.508, 0.361, 0.643)
O (0.750, 0.027, 0.987)
O (0.506, 0.820, 0.525)
O (0.750, 0.766, 0.177)
O (0.006, 0.180, 0.475)
O (0.250, 0.234, 0.823)
O (0.250, 0.266, 0.323)
O (0.008, 0.639, 0.357)
O (0.006, 0.320, 0.975)
O (0.250, 0.973, 0.013)
O (0.250, 0.950, 0.376)
O (0.750, 0.050, 0.624)
O (0.250, 0.550, 0.876)
O (0.750, 0.450, 0.124)
O (0.494, 0.320, 0.975)
O (0.250, 0.626, 0.687)
Cr (0.750, 0.532, 0.378)
Cr (0.750, 0.238, 0.057)
Cr (0.250, 0.032, 0.122)
Cr (0.250, 0.147, 0.412)
Cr (0.250, 0.762, 0.943)
Cr (0.250, 0.738, 0.443)
Cr (0.750, 0.647, 0.088)
Cr (0.250, 0.353, 0.912)
Cr (0.750, 0.853, 0.588)
Cr (0.750, 0.968, 0.878)
Cr (0.250, 0.468, 0.622)
Cr (0.750, 0.262, 0.557)
Li (0.750, 0.999, 0.215)
Li (0.250, 0.499, 0.285)
Li (0.750, 0.501, 0.715)
Li (0.250, 0.001, 0.785)

***

(4)
A relaxed MgMn4Cu3O12 crystal. Source: Materials Project, functional PBE with a Hubbard U.

Values from the calculation:
Mass density, g/cm3: 5.227
Total DFT energy (no corrections), eV/cell: -127.212

abc: 6.371 6.371 6.371
angles: 109.47 109.47 109.47
Sites, in units of the cell vectors:
Cu (0.000, 0.500, 0.500)
Cu (0.500, 0.000, 0.500)
Cu (0.500, 0.500, 0.000)
O (0.524, 0.831, 0.693)
O (0.137, 0.831, 0.307)
O (0.476, 0.169, 0.307)
O (0.307, 0.137, 0.831)
O (0.169, 0.307, 0.476)
O (0.169, 0.693, 0.863)
O (0.307, 0.476, 0.169)
O (0.831, 0.693, 0.524)
O (0.693, 0.863, 0.169)
O (0.693, 0.524, 0.831)
O (0.863, 0.169, 0.693)
O (0.831, 0.307, 0.137)
Mn (0.000, 0.500, 0.000)
Mn (0.000, 0.000, 0.500)
Mn (0.500, 0.500, 0.500)
Mn (0.500, 0.000, 0.000)
Mg (0.000, 0.000, 0.000)

***

(5)
A relaxed SrMgMoO3 crystal. Source: Materials Project, functional PBE with a Hubbard U.

Values from the calculation:
Mass density, g/cm3: 3.847
Total DFT energy (no corrections), eV/cell: -33.372

abc: 4.120 4.120 6.506
angles: 90.00 90.00 90.00
Sites, in units of the cell vectors:
Sr (0.500, 0.500, 0.500)
O (0.000, 0.000, 0.500)
O (0.000, 0.500, 0.000)
O (0.500, 0.000, 0.000)
Mg (0.500, 0.500, 0.000)
Mo (0.000, 0.000, 0.000)

***

(6)
A relaxed NiMoP2O9 crystal. Source: Materials Project, functional PBE with a Hubbard U.

Values from the calculation:
Mass density, g/cm3: 3.304
Total DFT energy (no corrections), eV/cell: -354.943

abc: 6.439 8.034 14.010
angles: 90.00 90.00 90.00
Sites, in units of the cell vectors:
O (0.250, 0.474, 0.477)
O (0.250, 0.164, 0.518)
O (0.443, 0.128, 0.120)
O (0.250, 0.025, 0.769)
O (0.750, 0.836, 0.482)
O (0.943, 0.628, 0.380)
O (0.750, 0.164, 0.560)
O (0.557, 0.628, 0.380)
O (0.750, 0.525, 0.731)
O (0.250, 0.766, 0.254)
O (0.750, 0.336, 0.060)
O (0.549, 0.398, 0.874)
O (0.943, 0.872, 0.880)
O (0.250, 0.734, 0.754)
O (0.750, 0.974, 0.023)
O (0.057, 0.372, 0.620)
O (0.557, 0.872, 0.880)
O (0.750, 0.526, 0.523)
O (0.049, 0.898, 0.626)
O (0.750, 0.234, 0.746)
O (0.250, 0.026, 0.977)
O (0.250, 0.836, 0.440)
O (0.549, 0.102, 0.374)
O (0.250, 0.475, 0.269)
O (0.451, 0.602, 0.126)
O (0.750, 0.664, 0.982)
O (0.250, 0.664, 0.940)
O (0.250, 0.336, 0.018)
O (0.951, 0.398, 0.874)
O (0.750, 0.975, 0.231)
O (0.049, 0.602, 0.126)
O (0.057, 0.128, 0.120)
O (0.443, 0.372, 0.620)
O (0.750, 0.266, 0.246)
O (0.951, 0.102, 0.374)
O (0.451, 0.898, 0.626)
P (0.250, 0.341, 0.557)
P (0.750, 0.395, 0.818)
P (0.250, 0.605, 0.182)
P (0.750, 0.841, 0.943)
P (0.750, 0.105, 0.318)
P (0.750, 0.659, 0.443)
P (0.250, 0.895, 0.682)
P (0.250, 0.159, 0.057)
Ni (0.500, 0.000, 0.500)
Ni (0.000, 0.000, 0.500)
Ni (0.000, 0.500, 0.000)
Ni (0.500, 0.500, 0.000)
Mo (0.250, 0.855, 0.875)
Mo (0.750, 0.145, 0.125)
Mo (0.750, 0.355, 0.625)
Mo (0.250, 0.645, 0.375)

***

(7)
A relaxed Li7Fe5O12 crystal. Source: Materials Project, functional PBE with a Hubbard U.

Values from the calculation:
Mass density, g/cm3: 3.883
Total DFT energy (no corrections), eV/cell: -140.701

abc: 5.132 5.132 9.891
angles: 85.07 85.07 119.97
Sites, in units of the cell vectors:
O (0.374, 0.880, 0.118)
O (0.231, 0.080, 0.612)
O (0.120, 0.626, 0.882)
O (0.847, 0.363, 0.613)
O (0.042, 0.215, 0.116)
O (0.785, 0.958, 0.884)
O (0.637, 0.153, 0.387)
O (0.920, 0.769, 0.388)
O (0.711, 0.548, 0.114)
O (0.305, 0.437, 0.388)
O (0.452, 0.289, 0.886)
O (0.563, 0.695, 0.612)
Li (0.993, 0.509, 0.254)
Li (0.340, 0.171, 0.252)
Li (0.178, 0.351, 0.744)
Li (0.829, 0.660, 0.748)
Li (0.491, 0.007, 0.746)
Li (0.649, 0.822, 0.256)
Li (0.250, 0.750, 0.500)
Fe (0.584, 0.416, 0.500)
Fe (0.917, 0.083, 0.500)
Fe (0.414, 0.586, 0.000)
Fe (0.080, 0.920, 0.000)
Fe (0.748, 0.252, 0.000)

***

(8)
A relaxed P3W2O12 crystal. Source: Materials Project, functional PBE with a Hubbard U.

Values from the calculation:
Mass density, g/cm3: 4.512
Total DFT energy (no corrections), eV/cell: -507.927

abc: 8.887 8.786 15.069
angles: 54.73 90.00 90.00
Sites, in units of the cell vectors:
O (0.391, 0.195, 0.869)
O (0.849, 0.716, 0.934)
O (0.219, 0.712, 0.665)
O (0.924, 0.094, 0.840)
O (0.015, 0.577, 0.227)
O (0.985, 0.423, 0.773)
O (0.723, 0.984, 0.672)
O (0.936, 0.185, 0.969)
O (0.223, 0.016, 0.828)
O (0.354, 0.461, 0.928)
O (0.496, 0.079, 0.763)
O (0.861, 0.368, 0.068)
O (0.639, 0.368, 0.568)
O (0.937, 0.151, 0.542)
O (0.576, 0.094, 0.340)
O (0.424, 0.906, 0.660)
O (0.777, 0.984, 0.172)
O (0.063, 0.849, 0.458)
O (0.646, 0.539, 0.072)
O (0.485, 0.577, 0.727)
O (0.436, 0.815, 0.531)
O (0.179, 0.479, 0.592)
O (0.139, 0.632, 0.932)
O (0.651, 0.716, 0.434)
O (0.609, 0.805, 0.131)
O (0.146, 0.461, 0.428)
O (0.361, 0.632, 0.432)
O (0.064, 0.815, 0.031)
O (0.437, 0.849, 0.958)
O (0.891, 0.805, 0.631)
O (0.277, 0.016, 0.328)
O (0.281, 0.712, 0.165)
O (0.821, 0.521, 0.408)
O (0.151, 0.284, 0.066)
O (0.504, 0.921, 0.237)
O (0.854, 0.539, 0.572)
O (0.563, 0.151, 0.042)
O (0.076, 0.906, 0.160)
O (0.781, 0.288, 0.335)
O (0.109, 0.195, 0.369)
O (0.564, 0.185, 0.469)
O (0.719, 0.288, 0.835)
O (0.515, 0.423, 0.273)
O (0.321, 0.479, 0.092)
O (0.004, 0.079, 0.263)
O (0.996, 0.921, 0.737)
O (0.679, 0.521, 0.908)
O (0.349, 0.284, 0.566)
P (0.113, 0.747, 0.146)
P (0.887, 0.253, 0.854)
P (0.387, 0.747, 0.646)
P (0.612, 0.964, 0.145)
P (0.753, 0.535, 0.995)
P (0.253, 0.465, 0.505)
P (0.112, 0.036, 0.355)
P (0.613, 0.253, 0.354)
P (0.747, 0.535, 0.495)
P (0.888, 0.964, 0.645)
P (0.388, 0.036, 0.855)
P (0.247, 0.465, 0.005)
W (0.466, 0.867, 0.384)
W (0.467, 0.633, 0.116)
W (0.967, 0.367, 0.384)
W (0.534, 0.133, 0.616)
W (0.033, 0.633, 0.616)
W (0.966, 0.133, 0.116)
W (0.533, 0.367, 0.884)
W (0.034, 0.867, 0.884)

***

(9)
A relaxed Li9Mn2Co5O16 crystal. Source: Materials Project, functional PBE with a Hubbard U.

Values from the calculation:
Mass density, g/cm3: 4.153
Total DFT energy (no corrections), eV/cell: -185.344

abc: 2.971 5.012 19.650
angles: 92.99 81.64 90.17
Sites, in units of the cell vectors:
Li (0.363, 0.875, 0.129)
Li (0.121, 0.614, 0.382)
Li (0.637, 0.125, 0.871)
Li (0.124, 0.623, 0.873)
Li (0.384, 0.871, 0.621)
Li (0.616, 0.129, 0.379)
Li (0.500, 0.500, 0.500)
Li (0.879, 0.386, 0.618)
Li (0.876, 0.377, 0.127)
O (0.691, 0.447, 0.809)
O (0.195, 0.947, 0.809)
O (0.406, 0.191, 0.056)
O (0.446, 0.166, 0.555)
O (0.309, 0.553, 0.191)
O (0.805, 0.053, 0.191)
O (0.993, 0.686, 0.056)
O (0.306, 0.554, 0.693)
O (0.060, 0.291, 0.441)
O (0.694, 0.446, 0.307)
O (0.554, 0.834, 0.445)
O (0.807, 0.056, 0.694)
O (0.940, 0.709, 0.559)
O (0.594, 0.809, 0.944)
O (0.193, 0.944, 0.306)
O (0.007, 0.314, 0.944)
Co (0.747, 0.750, 0.251)
Co (0.752, 0.750, 0.750)
Co (0.248, 0.250, 0.250)
Co (0.253, 0.250, 0.749)
Co (0.500, 0.500, 0.000)
Mn (0.000, 0.000, 0.500)
Mn (0.000, 0.000, 0.000)

***

(10)
A relaxed NaCoO2 crystal. Source: Materials Project, functional PBE with a Hubbard U.

Values from the calculation:
Mass density, g/cm3: 4.449
Total DFT energy (no corrections), eV/cell: -85.124

abc: 2.847 6.336 9.428
angles: 90.01 89.99 90.08
Sites, in units of the cell vectors:
O (0.750, 0.419, 0.626)
O (0.250, 0.179, 0.374)
O (0.249, 0.579, 0.875)
O (0.249, 0.177, 0.874)
O (0.250, 0.583, 0.380)
O (0.750, 0.822, 0.124)
O (0.750, 0.420, 0.134)
O (0.751, 0.822, 0.624)
Co (0.750, 0.380, 0.375)
Co (0.749, 0.378, 0.870)
Co (0.251, 0.622, 0.622)
Co (0.250, 0.620, 0.127)
Na (0.749, 0.874, 0.874)
Na (0.250, 0.125, 0.124)
Na (0.750, 0.878, 0.374)
Na (0.251, 0.123, 0.623)

***

Repeat the sixth record exactly.
A relaxed NiMoP2O9 crystal. Source: Materials Project, functional PBE with a Hubbard U.

Values from the calculation:
Mass density, g/cm3: 3.304
Total DFT energy (no corrections), eV/cell: -354.943

abc: 6.439 8.034 14.010
angles: 90.00 90.00 90.00
Sites, in units of the cell vectors:
O (0.250, 0.474, 0.477)
O (0.250, 0.164, 0.518)
O (0.443, 0.128, 0.120)
O (0.250, 0.025, 0.769)
O (0.750, 0.836, 0.482)
O (0.943, 0.628, 0.380)
O (0.750, 0.164, 0.560)
O (0.557, 0.628, 0.380)
O (0.750, 0.525, 0.731)
O (0.250, 0.766, 0.254)
O (0.750, 0.336, 0.060)
O (0.549, 0.398, 0.874)
O (0.943, 0.872, 0.880)
O (0.250, 0.734, 0.754)
O (0.750, 0.974, 0.023)
O (0.057, 0.372, 0.620)
O (0.557, 0.872, 0.880)
O (0.750, 0.526, 0.523)
O (0.049, 0.898, 0.626)
O (0.750, 0.234, 0.746)
O (0.250, 0.026, 0.977)
O (0.250, 0.836, 0.440)
O (0.549, 0.102, 0.374)
O (0.250, 0.475, 0.269)
O (0.451, 0.602, 0.126)
O (0.750, 0.664, 0.982)
O (0.250, 0.664, 0.940)
O (0.250, 0.336, 0.018)
O (0.951, 0.398, 0.874)
O (0.750, 0.975, 0.231)
O (0.049, 0.602, 0.126)
O (0.057, 0.128, 0.120)
O (0.443, 0.372, 0.620)
O (0.750, 0.266, 0.246)
O (0.951, 0.102, 0.374)
O (0.451, 0.898, 0.626)
P (0.250, 0.341, 0.557)
P (0.750, 0.395, 0.818)
P (0.250, 0.605, 0.182)
P (0.750, 0.841, 0.943)
P (0.750, 0.105, 0.318)
P (0.750, 0.659, 0.443)
P (0.250, 0.895, 0.682)
P (0.250, 0.159, 0.057)
Ni (0.500, 0.000, 0.500)
Ni (0.000, 0.000, 0.500)
Ni (0.000, 0.500, 0.000)
Ni (0.500, 0.500, 0.000)
Mo (0.250, 0.855, 0.875)
Mo (0.750, 0.145, 0.125)
Mo (0.750, 0.355, 0.625)
Mo (0.250, 0.645, 0.375)

***

What did the fifth record say?
A relaxed SrMgMoO3 crystal. Source: Materials Project, functional PBE with a Hubbard U.

Values from the calculation:
Mass density, g/cm3: 3.847
Total DFT energy (no corrections), eV/cell: -33.372

abc: 4.120 4.120 6.506
angles: 90.00 90.00 90.00
Sites, in units of the cell vectors:
Sr (0.500, 0.500, 0.500)
O (0.000, 0.000, 0.500)
O (0.000, 0.500, 0.000)
O (0.500, 0.000, 0.000)
Mg (0.500, 0.500, 0.000)
Mo (0.000, 0.000, 0.000)

***

Among the records above, which one has the highest total DFT energy (no corrections)? SrMgMoO3